1.
CeB2Ir3, relaxed, DFT PBE; crystal system = hexagonal; total DFT energy (no corrections) = -8.307 eV/atom; volume = 13.8 A^3/atom; calculated formation energy = -4.04 eV/f.u.
1.0
-4.5417 -0.3064 -3.0318
3.8526 -3.8560 -0.4485
-1.4293 -1.6971 2.3127
Ce B Ir
1 2 3
Direct
0.0000 0.0000 0.0000
0.6667 0.3333 0.0000
0.3333 0.6667 0.0000
0.5000 0.5000 0.5000
0.5000 0.0000 0.5000
0.0000 0.5000 0.5000

***

2.
HoGe2Pt, relaxed, DFT PBE; crystal system = orthorhombic; total DFT energy (no corrections) = -5.829 eV/atom; volume = 19.6 A^3/atom; calculated formation energy = -3.42 eV/f.u.
1.0
-2.1614 4.3848 8.2636
2.1614 -4.3848 8.2636
2.1614 4.3848 -8.2636
Ho Ge Pt
4 8 4
Direct
0.7359 0.0000 0.7359
0.7005 0.2005 0.5000
0.2995 0.7995 0.5000
0.2641 0.0000 0.2641
0.6483 0.7986 0.8497
0.9269 0.4269 0.5000
0.0512 0.2014 0.8497
0.3517 0.2014 0.1503
0.9488 0.7986 0.1503
0.4261 0.4261 0.0000
0.0731 0.5731 0.5000
0.5739 0.5739 0.0000
0.3964 0.6473 0.7491
0.6036 0.3527 0.2509
0.8982 0.6473 0.2509
0.1018 0.3527 0.7491